No. 1
DFT (PBE) results for a geometry-optimized RbMg14B structure.

```
16
Lattice="10.2994 0.0000 0.0000 0.0000 3.1572 5.8912 0.0000 -3.1572 5.8912" Properties=species:S:1:pos:R:3 pbc="T T T"
Rb 0.0000 0.0000 0.0000
Mg 0.0000 -1.5637 2.9230
Mg 0.0000 1.5637 2.9230
Mg 2.2991 0.0000 7.3411
Mg 2.5983 -1.4991 4.4984
Mg 2.5983 1.4991 4.4984
Mg 2.8027 0.0000 1.6847
Mg 5.1497 0.0000 5.5847
Mg 5.1497 -1.5391 8.5225
Mg 5.1497 1.5391 8.5225
Mg 5.1497 0.0000 11.3890
Mg 7.4967 0.0000 1.6847
Mg 7.7011 -1.4991 4.4984
Mg 7.7011 1.4991 4.4984
Mg 8.0003 0.0000 7.3411
B 0.0000 0.0000 4.6785
```

Summary:
Calculated total energy   -1.60 eV per atom
V   23.9 A^3/atom
Space group   No. 38
Total moment   0.00 μB/cell

No. 2
DFT (PBE) results for a geometry-optimized Mg8BRh4 structure.

```
26
Lattice="0.0000 6.1202 6.1202 6.1202 0.0000 6.1202 6.1202 6.1202 0.0000" Properties=species:S:1:pos:R:3 pbc="T T T"
Mg 0.0000 0.0000 0.0000
Mg 3.0601 3.0601 0.0000
Mg 3.0601 0.0000 3.0601
Mg 4.5901 4.5901 2.1497
Mg 4.5901 2.1497 4.5901
Mg 7.0306 4.5901 4.5901
Mg 7.6502 7.6502 5.2097
Mg 7.6502 5.2097 7.6502
Mg 10.0907 7.6502 7.6502
Mg 0.0000 3.0601 3.0601
Mg 2.1497 4.5901 4.5901
Mg 4.5901 7.0306 4.5901
Mg 4.5901 4.5901 7.0306
Mg 5.2097 7.6502 7.6502
Mg 7.6502 10.0907 7.6502
Mg 7.6502 7.6502 10.0907
B 1.5300 1.5300 1.5300
B 10.7103 10.7103 10.7103
Rh 9.5378 5.7626 5.7626
Rh 2.7025 2.7025 2.7025
Rh 6.4777 6.4777 2.7025
Rh 6.4777 2.7025 6.4777
Rh 5.7626 9.5378 5.7626
Rh 5.7626 5.7626 9.5378
Rh 9.5378 9.5378 9.5378
Rh 2.7025 6.4777 6.4777
```

Summary:
Calculated total energy   -4.20 eV per atom
V   17.6 A^3/atom
Space group   No. 227

No. 3
DFT (PBE) results for a geometry-optimized MgSi2B12 structure.

```
60
Lattice="11.0293 0.0000 0.0000 0.0000 6.1252 0.0000 0.0000 0.0000 8.3968" Properties=species:S:1:pos:R:3 pbc="T T T"
Mg 0.7729 1.5313 1.3359
Mg 4.7417 4.5939 5.5343
Mg 6.2876 1.5313 2.8624
Mg 10.2564 4.5939 7.0608
Si 0.8994 1.5313 7.2864
Si 0.9338 4.5939 5.0478
Si 4.5808 1.5313 0.8494
Si 4.6153 4.5939 3.0880
Si 6.4141 1.5313 5.3087
Si 6.4485 4.5939 7.5473
Si 10.0955 1.5313 3.3489
Si 10.1299 4.5939 1.1104
B 1.0728 4.5939 0.4786
B 1.1108 1.5313 3.7418
B 1.6298 4.5939 7.0984
B 1.6926 1.5313 5.4477
B 1.8688 3.1550 8.1192
B 1.8688 6.0328 8.1192
B 1.9082 0.1063 4.4521
B 1.9082 2.9563 4.4521
B 2.2976 3.6272 1.3973
B 2.2976 5.5606 1.3973
B 2.3487 0.5573 2.8000
B 2.3487 2.5053 2.8000
B 3.1659 3.6199 6.9983
B 3.1659 5.5679 6.9983
B 3.2171 0.5646 5.5956
B 3.2171 2.4980 5.5956
B 3.6064 3.1689 0.2537
B 3.6064 6.0188 0.2537
B 3.6459 0.0924 3.9208
B 3.6459 2.9702 3.9208
B 3.8221 4.5939 1.2493
B 3.8848 1.5313 2.9001
B 4.4039 4.5939 7.9402
B 4.4419 1.5313 4.6770
B 6.5874 4.5939 3.7198
B 6.6254 1.5313 0.4565
B 7.1445 4.5939 5.4967
B 7.2072 1.5313 7.1474
B 7.3835 3.1550 4.4760
B 7.3835 6.0328 4.4760
B 7.4229 0.1063 8.1431
B 7.4229 2.9563 8.1431
B 7.8122 3.6272 2.8011
B 7.8122 5.5606 2.8011
B 7.8634 0.5573 1.3984
B 7.8634 2.5053 1.3984
B 8.6806 3.6199 5.5968
B 8.6806 5.5679 5.5968
B 8.7318 0.5646 6.9995
B 8.7318 2.4980 6.9995
B 9.1211 3.1689 3.9447
B 9.1211 6.0188 3.9447
B 9.1605 0.0924 0.2776
B 9.1605 2.9702 0.2776
B 9.3368 4.5939 2.9491
B 9.3995 1.5313 1.2983
B 9.9186 4.5939 4.6549
B 9.9566 1.5313 7.9182
```

Summary:
Calculated total energy   -6.29 eV per atom
V   9.5 A^3/atom
Space group   No. 62

No. 4
DFT (PBE) results for a geometry-optimized Mg14SnB structure.

```
16
Lattice="6.2379 0.0000 0.0000 -3.1189 5.4022 0.0000 0.0000 0.0000 10.1862" Properties=species:S:1:pos:R:3 pbc="T T T"
Mg 0.0000 0.0000 2.5413
Mg 0.0000 0.0000 7.6449
Mg -1.5328 2.7165 2.6825
Mg -1.5328 2.7165 7.5036
Mg 1.5389 0.8885 5.0931
Mg 1.5707 0.9068 0.0000
Mg 1.5328 2.7165 2.6825
Mg 1.5328 2.7165 7.5036
Mg 0.0000 5.3714 2.6825
Mg 0.0000 5.3714 7.5036
Mg 4.6672 0.9068 0.0000
Mg 3.1189 3.5885 0.0000
Mg 4.6990 0.8885 5.0931
Mg 3.1189 3.6252 5.0931
Sn 0.0000 3.6014 0.0000
B 0.0000 3.6014 5.0931
```

Summary:
Calculated total energy   -1.92 eV per atom
V   21.5 A^3/atom
Space group   No. 187
Total moment   0.00 μB/cell

No. 5
DFT (PBE) results for a geometry-optimized Mg14SnB structure.

```
16
Lattice="9.9454 0.0000 0.0000 0.0000 3.2957 5.3855 0.0000 -3.2957 5.3855" Properties=species:S:1:pos:R:3 pbc="T T T"
Mg 0.0000 0.0000 0.0000
Mg 0.0000 -1.6232 2.7370
Mg 0.0000 0.0000 5.3631
Mg 0.0000 1.6232 2.7370
Mg 2.4383 0.0000 7.2600
Mg 2.5508 0.0000 1.8714
Mg 2.7700 -1.7983 4.6347
Mg 2.7700 1.7983 4.6347
Mg 4.9727 -1.6774 7.8115
Mg 4.9727 1.6774 7.8115
Mg 7.1753 -1.7983 4.6347
Mg 7.1753 1.7983 4.6347
Mg 7.3946 0.0000 1.8714
Mg 7.5071 0.0000 7.2600
Sn 4.9727 0.0000 5.3560
B 4.9727 0.0000 0.4840
```

Summary:
Calculated total energy   -1.91 eV per atom
V   22.1 A^3/atom
Space group   No. 38
Total moment   0.00 μB/cell

No. 6
DFT (PBE) results for a geometry-optimized SrMg14B structure.

```
16
Lattice="10.4109 0.0000 0.0000 0.0000 3.1011 5.8240 0.0000 -3.1011 5.8240" Properties=species:S:1:pos:R:3 pbc="T T T"
Sr 0.0000 0.0000 0.0000
Mg 0.0000 -1.4172 3.0772
Mg 0.0000 1.4172 3.0772
Mg 1.7751 0.0000 6.9957
Mg 2.6947 -1.5412 4.4390
Mg 2.6947 1.5412 4.4390
Mg 2.7977 0.0000 1.6302
Mg 5.2054 0.0000 5.5809
Mg 5.2054 -1.5076 8.4340
Mg 5.2054 1.5076 8.4340
Mg 5.2054 0.0000 11.3026
Mg 7.6131 0.0000 1.6302
Mg 7.7161 -1.5412 4.4390
Mg 7.7161 1.5412 4.4390
Mg 8.6357 0.0000 6.9957
B 0.0000 0.0000 5.1008
```

Summary:
Calculated total energy   -1.76 eV per atom
V   23.5 A^3/atom
Space group   No. 38
Total moment   0.00 μB/cell

No. 7
DFT (PBE) results for a geometry-optimized SrMg14B structure.

```
16
Lattice="6.4121 0.0000 0.0000 -3.2061 5.5531 0.0000 0.0000 0.0000 10.4292" Properties=species:S:1:pos:R:3 pbc="T T T"
Sr 0.0000 0.0000 0.0000
Mg -1.5414 2.8121 0.0000
Mg 0.0000 1.8051 2.8518
Mg 0.0000 1.8051 7.5774
Mg -1.6428 4.6505 2.8518
Mg -1.6428 4.6505 7.5774
Mg 1.5414 2.8121 0.0000
Mg 0.0000 5.4819 0.0000
Mg 3.2061 0.0552 5.2146
Mg 1.6508 2.7490 5.2146
Mg 3.2061 1.8510 2.5117
Mg 3.2061 1.8510 7.9176
Mg 1.6428 4.6505 2.8518
Mg 1.6428 4.6505 7.5774
Mg 4.7613 2.7490 5.2146
B 0.0000 0.0000 5.2146
```

Summary:
Calculated total energy   -1.69 eV per atom
V   23.2 A^3/atom
Space group   No. 187
Total moment   0.00 μB/cell

No. 8
DFT (PBE) results for a geometry-optimized Mg14TiB structure.

```
16
Lattice="6.2302 0.0000 0.0000 -3.1151 5.3955 0.0000 0.0000 0.0000 9.9774" Properties=species:S:1:pos:R:3 pbc="T T T"
Mg 0.0000 0.0000 2.4374
Mg 0.0000 0.0000 7.5400
Mg -1.4802 2.7424 2.5799
Mg -1.4802 2.7424 7.3975
Mg 1.5408 0.8896 4.9887
Mg 1.5899 0.9180 0.0000
Mg 1.4802 2.7424 2.5799
Mg 1.4802 2.7424 7.3975
Mg 0.0000 5.3062 2.5799
Mg 0.0000 5.3062 7.3975
Mg 4.6402 0.9180 0.0000
Mg 3.1151 3.5596 0.0000
Mg 4.6894 0.8896 4.9887
Mg 3.1151 3.6164 4.9887
Ti 0.0000 3.5970 0.0000
B 0.0000 3.5970 4.9887
```

Summary:
Calculated total energy   -2.10 eV per atom
V   21.0 A^3/atom
Space group   No. 187
Total moment   1.42 μB/cell

No. 9
DFT (PBE) results for a geometry-optimized Mg14TiB structure.

```
16
Lattice="9.9973 0.0000 0.0000 0.0000 3.0211 5.5346 0.0000 -3.0211 5.5346" Properties=species:S:1:pos:R:3 pbc="T T T"
Mg 0.0000 0.0000 0.0000
Mg 0.0000 -1.4847 2.7669
Mg 0.0000 1.4847 2.7669
Mg 0.0000 0.0000 5.4966
Mg 2.5024 0.0000 7.3163
Mg 2.6547 -1.5137 4.5981
Mg 2.6547 1.5137 4.5981
Mg 2.8215 0.0000 1.6435
Mg 4.9987 -1.5849 2.9290
Mg 4.9987 1.5849 2.9290
Mg 7.1758 0.0000 1.6435
Mg 7.3426 -1.5137 4.5981
Mg 7.3426 1.5137 4.5981
Mg 7.4949 0.0000 7.3163
Ti 4.9987 0.0000 5.6722
B 4.9987 0.0000 10.7194
```

Summary:
Calculated total energy   -2.11 eV per atom
V   20.9 A^3/atom
Space group   No. 38
Total moment   0.00 μB/cell

No. 10
DFT (PBE) results for a geometry-optimized Mg14VB structure.

```
16
Lattice="6.2186 0.0000 0.0000 -3.1093 5.3855 0.0000 0.0000 0.0000 9.9774" Properties=species:S:1:pos:R:3 pbc="T T T"
Mg 0.0000 0.0000 2.4695
Mg 0.0000 0.0000 7.5079
Mg -1.4839 2.7336 2.5608
Mg -1.4839 2.7336 7.4166
Mg 1.5420 0.8902 4.9887
Mg 1.5736 0.9085 0.0000
Mg 1.4839 2.7336 2.5608
Mg 1.4839 2.7336 7.4166
Mg 0.0000 5.3038 2.5608
Mg 0.0000 5.3038 7.4166
Mg 4.6450 0.9085 0.0000
Mg 3.1093 3.5684 0.0000
Mg 4.6767 0.8902 4.9887
Mg 3.1093 3.6050 4.9887
V 0.0000 3.5903 0.0000
B 0.0000 3.5903 4.9887
```

Summary:
Calculated total energy   -2.14 eV per atom
V   20.9 A^3/atom
Space group   No. 187
Total moment   3.46 μB/cell

No. 11
DFT (PBE) results for a geometry-optimized Mg14VB structure.

```
16
Lattice="10.0400 0.0000 0.0000 0.0000 3.0815 5.4000 0.0000 -3.0815 5.4000" Properties=species:S:1:pos:R:3 pbc="T T T"
Mg 0.0000 0.0000 0.0000
Mg 0.0000 -1.5305 2.7194
Mg 0.0000 0.0000 5.3897
Mg 0.0000 1.5305 2.7194
Mg 2.5188 0.0000 7.1777
Mg 2.6273 0.0000 1.7478
Mg 2.6996 -1.5713 4.5559
Mg 2.6996 1.5713 4.5559
Mg 5.0200 -1.5149 8.0860
Mg 5.0200 1.5149 8.0860
Mg 7.3405 -1.5713 4.5559
Mg 7.3405 1.5713 4.5559
Mg 7.4128 0.0000 1.7478
Mg 7.5212 0.0000 7.1777
V 5.0200 0.0000 5.4386
B 5.0200 0.0000 10.7837
```

Summary:
Calculated total energy   -2.14 eV per atom
V   20.9 A^3/atom
Space group   No. 38
Total moment   3.48 μB/cell

No. 12
DFT (PBE) results for a geometry-optimized Mg6BW structure.

```
16
Lattice="4.5086 0.0000 0.0000 0.0000 5.9273 0.0000 0.0000 0.0000 11.4366" Properties=species:S:1:pos:R:3 pbc="T T T"
Mg 2.2543 4.5210 10.3996
Mg 0.0000 4.3926 0.8623
Mg 2.2543 0.0000 1.9915
Mg 2.2543 1.5574 4.6813
Mg 0.0000 4.4983 6.5805
Mg 0.0000 2.9636 9.4510
Mg 2.2543 1.4063 10.3996
Mg 2.2543 4.3699 4.6813
Mg 0.0000 0.0000 3.7327
Mg 0.0000 1.5347 0.8623
Mg 2.2543 2.9636 7.7098
Mg 0.0000 1.4290 6.5805
B 2.2543 0.0000 8.4703
B 2.2543 2.9636 2.7520
W 0.0000 0.0000 9.0281
W 0.0000 2.9636 3.3098
```

Summary:
Calculated total energy   -3.19 eV per atom
V   19.1 A^3/atom

No. 13
DFT (PBE) results for a geometry-optimized Mg6BW structure.

```
16
Lattice="4.7957 0.0000 0.0000 0.0000 5.5128 0.0000 0.0000 0.0000 10.7674" Properties=species:S:1:pos:R:3 pbc="T T T"
Mg 2.3978 1.3744 4.6070
Mg 0.0000 4.1023 6.2538
Mg 2.3978 4.1384 4.6070
Mg 2.3978 4.1308 9.9907
Mg 0.0000 0.0000 8.7277
Mg 0.0000 0.0000 3.4859
Mg 0.0000 4.1669 0.8701
Mg 2.3978 1.3820 9.9907
Mg 0.0000 1.4105 6.2538
Mg 0.0000 2.7564 8.8696
Mg 0.0000 2.7564 3.3440
Mg 0.0000 1.3459 0.8701
W 2.3978 0.0000 1.9422
W 2.3978 2.7564 7.3259
B 2.3978 0.0000 7.1920
B 2.3978 2.7564 1.8083
```

Summary:
Calculated total energy   -3.07 eV per atom
V   17.8 A^3/atom
Total moment   0.01 μB/cell

No. 14
DFT (PBE) results for a geometry-optimized YMg6B structure.

```
16
Lattice="-1.1449 0.9268 4.5162 -3.2809 -5.4002 0.2765 9.4219 -5.5437 3.5262" Properties=species:S:1:pos:R:3 pbc="T T T"
Mg 6.2260 -7.3286 3.0823
Mg 4.1311 -5.9694 4.7706
Mg 0.9279 -5.9451 3.9536
Mg 2.5932 -3.2040 3.8132
Mg 1.0606 -0.4974 2.8693
Mg 7.2792 -6.0169 5.5784
Mg -1.7246 -4.4317 0.4723
Mg -0.1303 -1.8075 0.3379
Mg 4.6268 -4.5035 2.0971
Mg 5.6637 -8.6760 5.7146
Mg 3.1555 -1.8567 1.1810
Mg 2.9402 -7.2794 2.2393
Y 1.2470 -4.3990 1.2189
Y 7.5984 -4.4708 2.8437
B -0.4179 -3.2928 3.0681
B 5.9334 -3.3645 4.6929
```

Summary:
Calculated total energy   -2.56 eV per atom
V   21.6 A^3/atom
Total moment   0.01 μB/cell

No. 15
DFT (PBE) results for a geometry-optimized YMg6B structure.

```
16
Lattice="-4.2671 0.1945 1.6529 -2.0644 -0.3200 -5.2920 -0.2527 -13.1266 0.8924" Properties=species:S:1:pos:R:3 pbc="T T T"
Mg -1.1044 -3.9105 -2.3910
Mg -3.9239 -12.5484 -2.3072
Mg -0.1986 -10.3138 0.7012
Mg -1.5487 -1.2926 -3.8461
Mg -1.2482 -11.3753 -1.8835
Mg -2.7653 -5.8251 -0.1074
Mg -0.6429 -7.6959 -0.7539
Mg -0.0896 -4.6520 0.3163
Mg -2.8854 -12.3874 0.3549
Mg -3.7912 -5.9842 -2.7373
Mg -1.7150 -7.8621 -3.5021
Mg -0.5564 -1.1388 -1.3023
Y -3.3411 -9.1705 -1.2004
Y -2.1825 -2.4472 0.9994
B -2.2890 -7.9771 1.3754
B -3.1949 -1.5738 -1.7168
```

Summary:
Calculated total energy   -2.61 eV per atom
V   21.4 A^3/atom
Total moment   0.00 μB/cell